(1)
Entry from the Materials Project: a relaxed Li2Si3H30C10N4 crystal (GGA-PBE).

Cell and atoms, written as CIF:
```
data_Li2Si3H30C10N4
_cell_length_a 12.7860
_cell_length_b 12.7860
_cell_length_c 14.4662
_cell_angle_alpha 80.83
_cell_angle_beta 80.83
_cell_angle_gamma 76.13
_space_group_name_H-M_alt 'P 1'
_space_group_IT_number 1
loop_
_space_group_symop_operation_xyz
'x,y,z'
loop_
_atom_site_label
_atom_site_fract_x
_atom_site_fract_y
_atom_site_fract_z
Li1 0.1578 0.8368 0.6666
Li2 0.1632 0.8422 0.8334
Li3 0.8422 0.1632 0.3334
Li4 0.8368 0.1578 0.1666
Li5 0.3475 0.7613 0.6499
Li6 0.2387 0.6525 0.8501
Li7 0.6525 0.2387 0.3501
Li8 0.7613 0.3475 0.1499
Si1 0.1519 0.6371 0.7007
Si2 0.3629 0.8481 0.7993
Si3 0.8481 0.3629 0.2993
Si4 0.6371 0.1519 0.2007
Si5 0.9665 0.7755 0.8313
Si6 0.2245 0.0335 0.6687
Si7 0.0335 0.2245 0.1687
Si8 0.7755 0.9665 0.3313
Si9 0.2672 0.6806 0.4965
Si10 0.3194 0.7328 0.0035
Si11 0.7328 0.3194 0.5035
Si12 0.6806 0.2672 0.9965
H1 0.1126 0.5090 0.8822
H2 0.4910 0.8874 0.6178
H3 0.8874 0.4910 0.1178
H4 0.5090 0.1126 0.3822
H5 0.1718 0.3908 0.8264
H6 0.6092 0.8282 0.6736
H7 0.8282 0.6092 0.1736
H8 0.3908 0.1718 0.3264
H9 0.2461 0.4323 0.9018
H10 0.5677 0.7539 0.5982
H11 0.7539 0.5677 0.0982
H12 0.4323 0.2461 0.4018
H13 0.3749 0.5128 0.6654
H14 0.4872 0.6251 0.8346
H15 0.6251 0.4872 0.3346
H16 0.5128 0.3749 0.1654
H17 0.3959 0.4348 0.7778
H18 0.5652 0.6041 0.7222
H19 0.6041 0.5652 0.2222
H20 0.4348 0.3959 0.2778
H21 0.3237 0.3926 0.7005
H22 0.6074 0.6763 0.7995
H23 0.6763 0.6074 0.2995
H24 0.3926 0.3237 0.2005
H25 0.9292 0.6021 0.9274
H26 0.3979 0.0708 0.5726
H27 0.0708 0.3979 0.0726
H28 0.6021 0.9292 0.4274
H29 0.8098 0.7070 0.9223
H30 0.2930 0.1902 0.5777
H31 0.1902 0.2930 0.0777
H32 0.7070 0.8098 0.4223
H33 0.8628 0.6338 0.8242
H34 0.3662 0.1372 0.6758
H35 0.1372 0.3662 0.1758
H36 0.6338 0.8628 0.3242
H37 0.0222 0.7905 0.9887
H38 0.2095 0.9778 0.5113
H39 0.9778 0.2095 0.0113
H40 0.7905 0.0222 0.4887
H41 0.0071 0.9192 0.9153
H42 0.0808 0.9929 0.5847
H43 0.9929 0.0808 0.0847
H44 0.9192 0.0071 0.4153
H45 0.8916 0.8721 0.9701
H46 0.1279 0.1084 0.5299
H47 0.1084 0.1279 0.0299
H48 0.8721 0.8916 0.4701
H49 0.9112 0.9550 0.7302
H50 0.0450 0.0888 0.7698
H51 0.0888 0.0450 0.2698
H52 0.9550 0.9112 0.2302
H53 0.8503 0.8563 0.6991
H54 0.1437 0.1497 0.8009
H55 0.1497 0.1437 0.3009
H56 0.8563 0.8503 0.1991
H57 0.7989 0.9168 0.8040
H58 0.0832 0.2011 0.6960
H59 0.2011 0.0832 0.1960
H60 0.9168 0.7989 0.3040
H61 0.1386 0.8443 0.4238
H62 0.1557 0.8614 0.0762
H63 0.8614 0.1557 0.5762
H64 0.8443 0.1386 0.9238
H65 0.1981 0.7501 0.3421
H66 0.2499 0.8019 0.1579
H67 0.8019 0.2499 0.6579
H68 0.7501 0.1981 0.8421
H69 0.0895 0.7243 0.4292
H70 0.2757 0.9105 0.0708
H71 0.9105 0.2757 0.5708
H72 0.7243 0.0895 0.9292
H73 0.3647 0.4822 0.5060
H74 0.5178 0.6353 0.9940
H75 0.6353 0.5178 0.4940
H76 0.4822 0.3647 0.0060
H77 0.2297 0.5004 0.4799
H78 0.4996 0.7703 0.0201
H79 0.7703 0.4996 0.5201
H80 0.5004 0.2297 0.9799
H81 0.3317 0.5376 0.3907
H82 0.4624 0.6683 0.1093
H83 0.6683 0.4624 0.6093
H84 0.5376 0.3317 0.8907
H85 0.4633 0.6942 0.4872
H86 0.3058 0.5367 0.0128
H87 0.5367 0.3058 0.5128
H88 0.6942 0.4633 0.9872
H89 0.4168 0.7234 0.3750
H90 0.2766 0.5832 0.1250
H91 0.5832 0.2766 0.6250
H92 0.7234 0.4168 0.8750
H93 0.3786 0.8237 0.4528
H94 0.1763 0.6214 0.0472
H95 0.6214 0.1763 0.5472
H96 0.8237 0.3786 0.9528
H97 0.1331 0.4121 0.6940
H98 0.5879 0.8669 0.8060
H99 0.8669 0.5879 0.3060
H100 0.4121 0.1331 0.1940
H101 0.9895 0.4391 0.6971
H102 0.5609 0.0105 0.8029
H103 0.0105 0.5609 0.3029
H104 0.4391 0.9895 0.1971
H105 0.0741 0.4472 0.5871
H106 0.5528 0.9259 0.9129
H107 0.9259 0.5528 0.4129
H108 0.4472 0.0741 0.0871
H109 0.9556 0.7309 0.6241
H110 0.2691 0.0444 0.8759
H111 0.0444 0.2691 0.3759
H112 0.7309 0.9556 0.1241
H113 0.9732 0.6331 0.5447
H114 0.3669 0.0268 0.9553
H115 0.0268 0.3669 0.4553
H116 0.6331 0.9732 0.0447
H117 0.8877 0.6212 0.6541
H118 0.3788 0.1123 0.8459
H119 0.1123 0.3788 0.3459
H120 0.6212 0.8877 0.1541
C1 0.1891 0.4630 0.8486
C2 0.5370 0.8109 0.6514
C3 0.8109 0.5370 0.1514
C4 0.4630 0.1891 0.3486
C5 0.3380 0.4647 0.7256
C6 0.5353 0.6620 0.7744
C7 0.6620 0.5353 0.2744
C8 0.4647 0.3380 0.2256
C9 0.8855 0.6690 0.8806
C10 0.3310 0.1145 0.6194
C11 0.1145 0.3310 0.1194
C12 0.6690 0.8855 0.3806
C13 0.9749 0.8448 0.9357
C14 0.1552 0.0251 0.5643
C15 0.0251 0.1552 0.0643
C16 0.8448 0.9749 0.4357
C17 0.8741 0.8853 0.7586
C18 0.1147 0.1259 0.7414
C19 0.1259 0.1147 0.2414
C20 0.8853 0.8741 0.2586
C21 0.1632 0.7572 0.4162
C22 0.2428 0.8368 0.0838
C23 0.8368 0.2428 0.5838
C24 0.7572 0.1632 0.9162
C25 0.3015 0.5363 0.4666
C26 0.4637 0.6985 0.0334
C27 0.6985 0.4637 0.5334
C28 0.5363 0.3015 0.9666
C29 0.3931 0.7357 0.4498
C30 0.2643 0.6069 0.0502
C31 0.6069 0.2643 0.5502
C32 0.7357 0.3931 0.9498
C33 0.0645 0.4646 0.6612
C34 0.5354 0.9355 0.8388
C35 0.9355 0.5354 0.3388
C36 0.4646 0.0645 0.1612
C37 0.9645 0.6442 0.6203
C38 0.3558 0.0355 0.8797
C39 0.0355 0.3558 0.3797
C40 0.6442 0.9645 0.1203
N1 0.2376 0.5306 0.7694
N2 0.4694 0.7624 0.7306
N3 0.7624 0.4694 0.2306
N4 0.5306 0.2376 0.2694
N5 0.0969 0.7339 0.7772
N6 0.2661 0.9031 0.7228
N7 0.9031 0.2661 0.2228
N8 0.7339 0.0969 0.2772
N9 0.2333 0.6982 0.6134
N10 0.3018 0.7667 0.8866
N11 0.7667 0.3018 0.3866
N12 0.6982 0.2333 0.1134
N13 0.0561 0.5788 0.6660
N14 0.4212 0.9439 0.8340
N15 0.9439 0.4212 0.3340
N16 0.5788 0.0561 0.1660
```



(2)
Entry from the Materials Project: a relaxed FeSbS crystal (GGA-PBE).

Cell and atoms, written as CIF:
```
data_FeSbS
_cell_length_a 5.9249
_cell_length_b 6.0414
_cell_length_c 6.0582
_cell_angle_alpha 112.53
_cell_angle_beta 90.00
_cell_angle_gamma 90.00
_space_group_name_H-M_alt 'P 1'
_space_group_IT_number 1
loop_
_space_group_symop_operation_xyz
'x,y,z'
loop_
_atom_site_label
_atom_site_fract_x
_atom_site_fract_y
_atom_site_fract_z
Fe1 0.0176 0.3029 0.3021
Fe2 0.4824 0.8029 0.3021
Fe3 0.9824 0.6971 0.6979
Fe4 0.5176 0.1971 0.6979
Sb1 0.6329 0.3688 0.1470
Sb2 0.3671 0.6312 0.8530
Sb3 0.8671 0.8688 0.1470
Sb4 0.1329 0.1312 0.8530
S1 0.6395 0.8301 0.6418
S2 0.3605 0.1699 0.3582
S3 0.1395 0.6699 0.3582
S4 0.8605 0.3301 0.6418
```



(3)
Entry from the Materials Project: a relaxed YMg14W crystal (GGA-PBE).

Cell and atoms, written as CIF:
```
data_YMg14W
_cell_length_a 6.4339
_cell_length_b 6.2555
_cell_length_c 10.1959
_cell_angle_alpha 90.00
_cell_angle_beta 90.00
_cell_angle_gamma 119.09
_space_group_name_H-M_alt 'P 1'
_space_group_IT_number 1
loop_
_space_group_symop_operation_xyz
'x,y,z'
loop_
_atom_site_label
_atom_site_fract_x
_atom_site_fract_y
_atom_site_fract_z
Y1 0.1585 0.3292 0.1250
Mg1 0.1685 0.3342 0.6250
Mg2 0.1621 0.8311 0.6250
Mg3 0.6565 0.3223 0.1250
Mg4 0.6635 0.3350 0.6250
Mg5 0.6565 0.8341 0.1250
Mg6 0.6635 0.8286 0.6250
Mg7 0.3330 0.1562 0.3722
Mg8 0.3330 0.1562 0.8778
Mg9 0.3330 0.6768 0.3722
Mg10 0.3330 0.6768 0.8778
Mg11 0.8340 0.1670 0.3837
Mg12 0.8340 0.1670 0.8663
Mg13 0.8507 0.6753 0.3596
Mg14 0.8507 0.6753 0.8904
W1 0.1695 0.8348 0.1250
```



no.,energy (Ry/atom),formation energy (eV per atom)
1,-0.3914,-0.30
2,-0.4366,-0.53
3,-0.1820,0.14